No. 1
Zr2VNi3 | GGA-PBE | relaxed

Results
As for the energy relative to the elements: -314 meV per atom. The value obtained for the size of the total moment is 0.29 μB/cell. As for the space-group type: No. 166. The volume is 14.57 Å³/atom.

Cell: 4.9352 4.9352 4.9352 Å, 61.27 61.27 61.27°
Fractional positions:
Zr  0.3702  0.3702  0.3702
Ni  0.5000  0.0000  0.0000
Ni  0.0000  0.5000  0.0000
Ni  0.0000  0.0000  0.5000
Zr  0.6298  0.6298  0.6298
V  0.0000  0.0000  0.0000


No. 2
SiO2 | GGA-PBE | relaxed

Results
As for the energy relative to the elements: -3241 meV per atom. The corrected total energy (MP2020 scheme) comes out at -8.3477 eV/atom. As for the space-group type: No. 142. The volume is 13.89 Å³/atom.

Cell: 10.3444 10.3444 10.3444 Å, 128.06 128.06 76.54°
Fractional positions:
O  0.8724  0.6276  0.5000
Si  0.5844  0.3111  0.8335
O  0.1276  0.3724  0.5000
O  0.1287  0.8750  0.7537
Si  0.0010  0.2277  0.6665
Si  0.1656  0.9389  0.6665
O  0.6287  0.8750  0.2537
O  0.3634  0.9532  0.7619
O  0.8776  0.6224  0.0000
Si  0.0844  0.2510  0.2733
O  0.3985  0.6366  0.5898
Si  0.0611  0.7277  0.2267
Si  0.6656  0.9990  0.2267
O  0.0587  0.7968  0.9102
O  0.8634  0.1015  0.4102
O  0.3515  0.6134  0.9102
O  0.1224  0.1224  0.7448
O  0.8515  0.9413  0.7381
Si  0.2490  0.4156  0.7267
O  0.3776  0.3776  0.2552
Si  0.6889  0.5223  0.2733
Si  0.7723  0.4389  0.7733
Si  0.1889  0.9156  0.1665
O  0.2032  0.1134  0.2619
O  0.7032  0.4413  0.0898
O  0.6276  0.1276  0.7552
O  0.1250  0.3787  0.7537
O  0.6213  0.3750  0.7463
Si  0.4777  0.7510  0.1665
O  0.6250  0.8713  0.7463
O  0.8985  0.3087  0.7619
Si  0.7490  0.0223  0.8335
O  0.6913  0.4532  0.5898
Si  0.2723  0.4990  0.3335
O  0.1213  0.3750  0.2463
O  0.6224  0.8776  0.0000
O  0.1913  0.6015  0.2381
O  0.3724  0.8724  0.2448
Si  0.9777  0.8111  0.7267
O  0.5468  0.1366  0.2381
O  0.6250  0.3713  0.2463
O  0.3866  0.2968  0.7381
O  0.5587  0.6485  0.2619
Si  0.5010  0.8344  0.7733
Si  0.5611  0.3344  0.3335
O  0.1250  0.8787  0.2537
O  0.0468  0.8087  0.4102
O  0.8866  0.1485  0.0898


No. 3
Na5CuHO4 | GGA-PBE | relaxed

Results
As for the energy relative to the elements: -1418 meV per atom. The corrected total energy (MP2020 scheme) comes out at -4.4996 eV/atom. The value obtained for the size of the total moment is 7.98 μB/cell. As for the space-group type: No. 62. The volume is 13.70 Å³/atom.

Cell: 9.9433 9.9916 12.1370 Å, 90.00 90.00 90.00°
Fractional positions:
Cu  0.7500  0.4881  0.7105
H  0.8825  0.2103  0.3148
Na  0.0703  0.5723  0.0847
Na  0.7500  0.5830  0.0500
Cu  0.2500  0.0119  0.2105
Na  0.4241  0.7809  0.3203
O  0.3992  0.5873  0.8930
Cu  0.7500  0.7925  0.3817
O  0.9012  0.4381  0.6218
O  0.5726  0.2555  0.3755
O  0.0726  0.7445  0.6245
Na  0.5908  0.4768  0.2914
O  0.0988  0.0619  0.1218
O  0.4274  0.2445  0.8755
O  0.9274  0.7555  0.1245
Cu  0.7500  0.9881  0.7895
Na  0.4312  0.8706  0.0090
O  0.8992  0.4127  0.1070
O  0.0988  0.5619  0.3782
O  0.8992  0.9127  0.3930
H  0.8825  0.7103  0.1852
Cu  0.2500  0.5119  0.2895
Na  0.0703  0.0723  0.4153
Na  0.2500  0.4170  0.9500
H  0.6175  0.7103  0.1852
Na  0.2500  0.6173  0.5149
O  0.4012  0.5619  0.3782
Na  0.9241  0.2191  0.6797
O  0.6008  0.4127  0.1070
Na  0.5688  0.6294  0.5090
O  0.2500  0.3950  0.6169
Na  0.7500  0.8827  0.0149
Na  0.0908  0.5232  0.7086
O  0.7500  0.5623  0.8521
Na  0.9297  0.9277  0.5847
O  0.2500  0.8950  0.8831
O  0.6008  0.9127  0.3930
Na  0.9297  0.4277  0.9153
Na  0.9312  0.1294  0.9910
O  0.7500  0.0623  0.6479
Na  0.9241  0.7191  0.8203
Na  0.0908  0.0232  0.7914
O  0.1008  0.5873  0.8930
Cu  0.2500  0.2075  0.6183
O  0.2500  0.9377  0.3521
Na  0.9312  0.6294  0.5090
H  0.1175  0.7897  0.6852
O  0.5988  0.9381  0.8782
Na  0.5703  0.4277  0.9153
H  0.6175  0.2103  0.3148
Na  0.7500  0.0830  0.4500
Na  0.5759  0.2191  0.6797
Na  0.4297  0.0723  0.4153
O  0.5726  0.7555  0.1245
Na  0.9092  0.4768  0.2914
O  0.1008  0.0873  0.6070
Cu  0.2500  0.7075  0.8817
Na  0.4312  0.3706  0.4910
Na  0.2500  0.1173  0.9851
Na  0.2500  0.9170  0.5500
Na  0.5688  0.1294  0.9910
O  0.9012  0.9381  0.8782
O  0.0726  0.2445  0.8755
Na  0.0688  0.3706  0.4910
Na  0.4092  0.0232  0.7914
Na  0.7500  0.3827  0.4851
Na  0.0759  0.2809  0.1797
O  0.7500  0.6050  0.3831
O  0.4012  0.0619  0.1218
O  0.5988  0.4381  0.6218
H  0.3825  0.2897  0.8148
O  0.7500  0.1050  0.1169
Cu  0.7500  0.2925  0.1183
O  0.2500  0.4377  0.1479
O  0.3992  0.0873  0.6070
Na  0.5759  0.7191  0.8203
H  0.1175  0.2897  0.8148
Na  0.0688  0.8706  0.0090
Na  0.0759  0.7809  0.3203
Na  0.5703  0.9277  0.5847
O  0.9274  0.2555  0.3755
H  0.3825  0.7897  0.6852
O  0.4274  0.7445  0.6245
Na  0.4297  0.5723  0.0847
Na  0.9092  0.9768  0.2086
Na  0.4241  0.2809  0.1797
Na  0.4092  0.5232  0.7086
Na  0.5908  0.9768  0.2086


No. 4
NaSrNbBiO6 | GGA-PBE | relaxed

Results
As for the energy relative to the elements: -2429 meV per atom. The corrected total energy (MP2020 scheme) comes out at -7.0979 eV/atom. The value obtained for the size of the total moment is 0.00 μB/cell. As for the space-group type: No. 216. The volume is 14.92 Å³/atom.

Cell: 5.9534 5.9534 5.9534 Å, 60.00 60.00 60.00°
Fractional positions:
Nb  0.5000  0.5000  0.5000
Sr  0.7500  0.7500  0.7500
O  0.2624  0.7376  0.7376
O  0.7376  0.2624  0.7376
Na  0.2500  0.2500  0.2500
O  0.7376  0.2624  0.2624
O  0.7376  0.7376  0.2624
O  0.2624  0.2624  0.7376
Bi  0.0000  0.0000  0.0000
O  0.2624  0.7376  0.2624


No. 5
Cs2AsAuI6 | GGA-PBE | relaxed

Results
As for the energy relative to the elements: -918 meV per atom. The corrected total energy (MP2020 scheme) comes out at -2.8046 eV/atom. As for the space-group type: No. 225. The volume is 41.02 Å³/atom.

Cell: 8.3399 8.3399 8.3399 Å, 60.00 60.00 60.00°
Fractional positions:
Cs  0.7500  0.7500  0.7500
As  0.0000  0.0000  0.0000
I  0.2477  0.2477  0.7523
Au  0.5000  0.5000  0.5000
I  0.7523  0.2477  0.7523
I  0.7523  0.7523  0.2477
I  0.7523  0.2477  0.2477
I  0.2477  0.7523  0.7523
Cs  0.2500  0.2500  0.2500
I  0.2477  0.7523  0.2477


No. 6
Co3C | GGA-PBE | relaxed

Results
As for the energy relative to the elements: 131 meV per atom. The value obtained for the size of the total moment is 12.33 μB/cell. As for the space-group type: No. 62. The volume is 9.17 Å³/atom.

Cell: 4.4339 4.9387 6.6967 Å, 90.00 90.00 90.00°
Fractional positions:
Co  0.3434  0.4621  0.7500
Co  0.6566  0.5379  0.2500
Co  0.1704  0.6802  0.4302
Co  0.6704  0.8198  0.9302
Co  0.3296  0.1802  0.0698
Co  0.1566  0.9621  0.7500
Co  0.8296  0.3198  0.5698
C  0.5535  0.1195  0.7500
Co  0.8296  0.3198  0.9302
C  0.9465  0.6195  0.7500
Co  0.8434  0.0379  0.2500
C  0.4465  0.8805  0.2500
Co  0.3296  0.1802  0.4302
Co  0.6704  0.8198  0.5698
C  0.0535  0.3805  0.2500
Co  0.1704  0.6802  0.0698